(1)
Density functional theory data (GGA-PBE) for a relaxed BiB4H3O9 crystal.

Cell lengths 4.359, 8.707, 10.692 Å; angles 111.70, 96.81, 90.37 degrees
Positions (direct):
Bi 0.000 0.000 0.000
Bi 0.256 0.628 0.070
B 0.121 0.413 0.274
B 0.134 0.217 0.796
B 0.248 0.104 0.555
B 0.411 0.958 0.702
B 0.588 0.260 0.170
B 0.670 0.370 0.900
B 0.865 0.680 0.373
B 0.994 0.521 0.514
H 0.039 0.405 0.645
H 0.167 0.210 0.419
H 0.285 0.701 0.832
H 0.604 0.874 0.427
H 0.684 0.768 0.651
H 0.937 0.912 0.233
O 0.025 0.577 0.275
O 0.112 0.403 0.409
O 0.126 0.222 0.659
O 0.228 0.104 0.426
O 0.241 0.056 0.798
O 0.268 0.760 0.928
O 0.347 0.355 0.893
O 0.405 0.974 0.576
O 0.433 0.395 0.237
O 0.470 0.102 0.093
O 0.577 0.836 0.728
O 0.708 0.805 0.350
O 0.789 0.527 0.977
O 0.826 0.233 0.836
O 0.870 0.662 0.498
O 0.909 0.278 0.172
O 0.984 0.513 0.638
O 0.990 0.866 0.141

Properties
V ... 187 Å³/f.u.
Symmetry ... No. 1
Energy relative to the elements ... -219.82 kJ/mol of atoms
MP2020-corrected energy ... -7.297 eV per atom

=====

(2)
Density functional theory data (GGA-PBE) for a relaxed Li3BiB8O15 crystal.

Cell lengths 9.625, 11.988, 11.707 Å; angles 90.00, 90.62, 90.00 degrees
Positions (direct):
Li 0.002 0.232 0.181
Li 0.002 0.268 0.681
Li 0.396 0.695 0.041
Li 0.396 0.805 0.541
Li 0.427 0.068 0.096
Li 0.427 0.432 0.596
Li 0.573 0.568 0.404
Li 0.573 0.932 0.904
Li 0.604 0.195 0.459
Li 0.604 0.305 0.959
Li 0.998 0.732 0.319
Li 0.998 0.768 0.819
Bi 0.248 0.144 0.458
Bi 0.248 0.356 0.958
Bi 0.752 0.644 0.042
Bi 0.752 0.856 0.542
B 0.035 0.720 0.605
B 0.035 0.780 0.105
B 0.173 0.604 0.476
B 0.173 0.896 0.976
B 0.238 0.616 0.678
B 0.238 0.884 0.178
B 0.253 0.139 0.713
B 0.253 0.361 0.213
B 0.313 0.592 0.874
B 0.313 0.908 0.374
B 0.322 0.535 0.309
B 0.322 0.965 0.809
B 0.369 0.734 0.273
B 0.369 0.766 0.773
B 0.387 0.149 0.892
B 0.387 0.351 0.392
B 0.613 0.649 0.608
B 0.613 0.851 0.108
B 0.631 0.234 0.227
B 0.631 0.266 0.727
B 0.678 0.035 0.191
B 0.678 0.465 0.691
B 0.687 0.092 0.626
B 0.687 0.408 0.126
B 0.747 0.639 0.787
B 0.747 0.861 0.287
B 0.762 0.116 0.822
B 0.762 0.384 0.322
B 0.827 0.104 0.024
B 0.827 0.396 0.524
B 0.965 0.220 0.895
B 0.965 0.280 0.395
O 0.054 0.197 0.371
O 0.054 0.303 0.871
O 0.065 0.683 0.494
O 0.065 0.817 0.994
O 0.101 0.670 0.697
O 0.101 0.830 0.197
O 0.178 0.194 0.629
O 0.178 0.306 0.129
O 0.197 0.582 0.365
O 0.197 0.918 0.865
O 0.243 0.558 0.568
O 0.243 0.942 0.068
O 0.273 0.028 0.711
O 0.273 0.472 0.211
O 0.273 0.542 0.773
O 0.273 0.958 0.273
O 0.316 0.203 0.801
O 0.316 0.297 0.301
O 0.324 0.542 0.976
O 0.324 0.958 0.476
O 0.342 0.712 0.672
O 0.342 0.788 0.172
O 0.348 0.707 0.874
O 0.348 0.793 0.374
O 0.408 0.036 0.889
O 0.408 0.464 0.389
O 0.417 0.212 0.985
O 0.417 0.288 0.485
O 0.418 0.627 0.276
O 0.418 0.873 0.776
O 0.582 0.127 0.224
O 0.582 0.373 0.724
O 0.583 0.712 0.515
O 0.583 0.788 0.015
O 0.592 0.536 0.611
O 0.592 0.964 0.111
O 0.652 0.207 0.626
O 0.652 0.293 0.126
O 0.658 0.212 0.828
O 0.658 0.288 0.328
O 0.676 0.042 0.524
O 0.676 0.458 0.024
O 0.684 0.703 0.699
O 0.684 0.797 0.199
O 0.727 0.042 0.727
O 0.727 0.458 0.227
O 0.727 0.528 0.789
O 0.727 0.972 0.289
O 0.757 0.058 0.932
O 0.757 0.442 0.432
O 0.803 0.082 0.135
O 0.803 0.418 0.635
O 0.822 0.694 0.871
O 0.822 0.806 0.371
O 0.899 0.170 0.803
O 0.899 0.330 0.303
O 0.935 0.183 0.006
O 0.935 0.317 0.506
O 0.946 0.697 0.129
O 0.946 0.803 0.629

Properties
V ... 338 Å³/f.u.
Symmetry ... No. 14
Energy relative to the elements ... -255.97 kJ/mol of atoms
MP2020-corrected energy ... -7.737 eV per atom

=====

(3)
Density functional theory data (GGA-PBE) for a relaxed Li2Bi2B2O7 crystal.

Cell lengths 8.602, 8.602, 7.776 Å; angles 90.51, 90.51, 61.64 degrees
Positions (direct):
Li 0.003 0.003 0.246
Li 0.342 0.321 0.226
Li 0.358 0.302 0.692
Li 0.679 0.658 0.774
Li 0.698 0.642 0.308
Li 0.997 0.997 0.754
Bi 0.003 0.727 0.003
Bi 0.076 0.608 0.506
Bi 0.273 0.997 0.997
Bi 0.392 0.924 0.494
Bi 0.608 0.392 0.500
Bi 0.705 0.295 0.000
B 0.007 0.324 0.261
B 0.015 0.325 0.759
B 0.361 0.633 0.801
B 0.367 0.639 0.199
B 0.675 0.985 0.241
B 0.676 0.993 0.739
O 0.029 0.971 0.000
O 0.101 0.418 0.700
O 0.114 0.141 0.755
O 0.179 0.223 0.207
O 0.186 0.718 0.741
O 0.271 0.565 0.126
O 0.282 0.814 0.259
O 0.346 0.412 0.459
O 0.435 0.729 0.874
O 0.467 0.450 0.782
O 0.501 0.051 0.686
O 0.550 0.533 0.218
O 0.582 0.899 0.300
O 0.588 0.153 0.177
O 0.588 0.654 0.541
O 0.745 0.111 0.737
O 0.777 0.821 0.793
O 0.847 0.412 0.823
O 0.859 0.886 0.245
O 0.889 0.255 0.263
O 0.949 0.499 0.314

Properties
V ... 169 Å³/f.u.
Symmetry ... No. 5
Energy relative to the elements ... -218.64 kJ/mol of atoms
Offset from the most stable computed form ... 0 meV per atom
MP2020-corrected energy ... -6.850 eV per atom

=====

(4)
Density functional theory data (GGA-PBE) for a relaxed LiBiB2O5 crystal.

Cell lengths 6.981, 11.030, 6.751 Å; angles 90.00, 108.15, 90.00 degrees
Positions (direct):
Li 0.192 0.006 0.132
Li 0.192 0.494 0.632
Li 0.808 0.506 0.368
Li 0.808 0.994 0.868
Bi 0.245 0.669 0.270
Bi 0.245 0.831 0.770
Bi 0.755 0.169 0.230
Bi 0.755 0.331 0.730
B 0.097 0.107 0.688
B 0.097 0.393 0.188
B 0.473 0.077 0.759
B 0.473 0.423 0.259
B 0.527 0.577 0.741
B 0.527 0.923 0.241
B 0.903 0.607 0.812
B 0.903 0.893 0.312
O 0.059 0.681 0.922
O 0.059 0.819 0.422
O 0.068 0.011 0.809
O 0.068 0.489 0.309
O 0.287 0.133 0.675
O 0.287 0.367 0.175
O 0.358 0.649 0.655
O 0.358 0.851 0.155
O 0.496 0.046 0.239
O 0.496 0.454 0.739
O 0.504 0.546 0.261
O 0.504 0.954 0.761
O 0.642 0.149 0.845
O 0.642 0.351 0.345
O 0.713 0.633 0.825
O 0.713 0.867 0.325
O 0.932 0.511 0.691
O 0.932 0.989 0.191
O 0.941 0.181 0.578
O 0.941 0.319 0.078

Properties
V ... 123 Å³/f.u.
Symmetry ... No. 14
Energy relative to the elements ... -235.53 kJ/mol of atoms
Offset from the most stable computed form ... 5 meV per atom
MP2020-corrected energy ... -7.319 eV per atom

=====

(5)
Density functional theory data (GGA-PBE) for a relaxed Li3Bi2B3O9 crystal.

Cell lengths 5.882, 14.149, 9.476 Å; angles 90.00, 112.85, 90.00 degrees
Positions (direct):
Li 0.060 0.112 0.205
Li 0.060 0.388 0.705
Li 0.419 0.665 0.494
Li 0.419 0.835 0.994
Li 0.436 0.215 0.216
Li 0.436 0.285 0.716
Li 0.564 0.715 0.284
Li 0.564 0.785 0.784
Li 0.581 0.165 0.006
Li 0.581 0.335 0.506
Li 0.940 0.612 0.295
Li 0.940 0.888 0.795
Bi 0.050 0.661 0.691
Bi 0.050 0.839 0.191
Bi 0.350 0.008 0.655
Bi 0.350 0.492 0.155
Bi 0.650 0.508 0.845
Bi 0.650 0.992 0.345
Bi 0.950 0.161 0.809
Bi 0.950 0.339 0.309
B 0.111 0.679 0.017
B 0.111 0.821 0.517
B 0.266 0.017 0.020
B 0.266 0.483 0.520
B 0.387 0.164 0.470
B 0.387 0.336 0.970
B 0.613 0.664 0.030
B 0.613 0.836 0.530
B 0.734 0.517 0.480
B 0.734 0.983 0.980
B 0.889 0.179 0.483
B 0.889 0.321 0.983
O 0.044 0.597 0.926
O 0.044 0.903 0.426
O 0.094 0.735 0.446
O 0.094 0.765 0.946
O 0.140 0.007 0.862
O 0.140 0.493 0.362
O 0.203 0.669 0.174
O 0.203 0.831 0.674
O 0.316 0.105 0.085
O 0.316 0.395 0.585
O 0.330 0.243 0.378
O 0.330 0.257 0.878
O 0.339 0.074 0.406
O 0.339 0.426 0.906
O 0.341 0.564 0.611
O 0.341 0.936 0.111
O 0.487 0.168 0.629
O 0.487 0.332 0.129
O 0.513 0.668 0.871
O 0.513 0.832 0.371
O 0.659 0.064 0.889
O 0.659 0.436 0.389
O 0.661 0.574 0.094
O 0.661 0.926 0.594
O 0.670 0.743 0.122
O 0.670 0.757 0.622
O 0.684 0.605 0.415
O 0.684 0.895 0.915
O 0.797 0.169 0.326
O 0.797 0.331 0.826
O 0.860 0.507 0.638
O 0.860 0.993 0.138
O 0.906 0.235 0.054
O 0.906 0.265 0.554
O 0.956 0.097 0.574
O 0.956 0.403 0.074

Properties
V ... 182 Å³/f.u.
Symmetry ... No. 14
Energy relative to the elements ... -229.70 kJ/mol of atoms
MP2020-corrected energy ... -6.973 eV per atom

=====

(6)
Density functional theory data (GGA-PBE) for a relaxed LiBiB2O5 crystal.

Cell lengths 13.517, 4.425, 11.567 Å; angles 90.00, 90.00, 90.00 degrees
Positions (direct):
Li 0.094 0.209 0.000
Li 0.155 0.772 0.832
Li 0.345 0.272 0.332
Li 0.406 0.709 0.500
Li 0.594 0.291 0.000
Li 0.655 0.728 0.832
Li 0.845 0.228 0.332
Li 0.906 0.791 0.500
Bi 0.026 0.331 0.734
Bi 0.221 0.703 0.098
Bi 0.279 0.203 0.598
Bi 0.474 0.831 0.234
Bi 0.526 0.169 0.734
Bi 0.721 0.797 0.098
Bi 0.779 0.297 0.598
Bi 0.974 0.669 0.234
B 0.018 0.306 0.468
B 0.107 0.798 0.548
B 0.140 0.220 0.289
B 0.232 0.717 0.368
B 0.268 0.217 0.868
B 0.360 0.720 0.789
B 0.393 0.298 0.048
B 0.482 0.806 0.968
B 0.518 0.194 0.468
B 0.607 0.702 0.548
B 0.640 0.280 0.289
B 0.732 0.783 0.368
B 0.768 0.283 0.868
B 0.860 0.780 0.789
B 0.893 0.202 0.048
B 0.982 0.694 0.968
O 0.034 0.632 0.484
O 0.036 0.237 0.343
O 0.081 0.133 0.549
O 0.089 0.772 0.990
O 0.119 0.708 0.669
O 0.126 0.327 0.168
O 0.162 0.277 0.847
O 0.167 0.891 0.287
O 0.211 0.787 0.493
O 0.213 0.390 0.353
O 0.287 0.890 0.853
O 0.289 0.287 0.993
O 0.333 0.391 0.787
O 0.338 0.777 0.347
O 0.374 0.827 0.668
O 0.381 0.208 0.169
O 0.411 0.272 0.490
O 0.419 0.633 0.049
O 0.464 0.737 0.843
O 0.466 0.132 0.984
O 0.534 0.868 0.484
O 0.536 0.263 0.343
O 0.581 0.367 0.549
O 0.589 0.728 0.990
O 0.619 0.792 0.669
O 0.626 0.173 0.168
O 0.662 0.223 0.847
O 0.667 0.609 0.287
O 0.711 0.713 0.493
O 0.713 0.110 0.353
O 0.787 0.610 0.853
O 0.789 0.213 0.993
O 0.833 0.109 0.787
O 0.838 0.723 0.347
O 0.874 0.673 0.668
O 0.881 0.292 0.169
O 0.911 0.228 0.490
O 0.919 0.867 0.049
O 0.964 0.763 0.843
O 0.966 0.368 0.984

Properties
V ... 86 Å³/f.u.
Symmetry ... No. 33
Energy relative to the elements ... -233.10 kJ/mol of atoms
Offset from the most stable computed form ... 30 meV per atom
MP2020-corrected energy ... -7.293 eV per atom

=====

(7)
Density functional theory data (GGA-PBE) for a relaxed LiBiB2O5 crystal.

Cell lengths 5.285, 5.285, 3.842 Å; angles 93.86, 93.86, 110.06 degrees
Positions (direct):
Li 0.000 0.000 0.000
Bi 0.386 0.614 0.500
B 0.523 0.112 0.129
B 0.888 0.477 0.871
O 0.099 0.389 0.968
O 0.328 0.073 0.352
O 0.611 0.901 0.032
O 0.634 0.366 0.000
O 0.927 0.672 0.648

Properties
V ... 100 Å³/f.u.
Symmetry ... No. 5
Energy relative to the elements ... -232.52 kJ/mol of atoms
Offset from the most stable computed form ... 36 meV per atom
MP2020-corrected energy ... -7.287 eV per atom
Largest piezoelectric modulus ... 7.7 C/m2

=====

(8)
Density functional theory data (GGA-PBE) for a relaxed LiBiB2O5 crystal.

Cell lengths 5.356, 4.393, 7.580 Å; angles 90.00, 95.52, 90.00 degrees
Positions (direct):
Li 0.161 0.000 0.110
Li 0.839 0.500 0.890
Bi 0.124 0.028 0.706
Bi 0.876 0.528 0.294
B 0.388 0.468 0.935
B 0.435 0.007 0.409
B 0.565 0.507 0.591
B 0.612 0.968 0.065
O 0.150 0.342 0.963
O 0.156 0.967 0.369
O 0.401 0.803 0.961
O 0.413 0.399 0.736
O 0.483 0.342 0.427
O 0.517 0.842 0.573
O 0.587 0.899 0.264
O 0.599 0.303 0.039
O 0.844 0.467 0.631
O 0.850 0.842 0.037

Properties
V ... 89 Å³/f.u.
Symmetry ... No. 4
Energy relative to the elements ... -230.45 kJ/mol of atoms
Offset from the most stable computed form ... 57 meV per atom
MP2020-corrected energy ... -7.266 eV per atom